Below is a geometry-optimized YbAsPt structure, with properties calculated at the r2SCAN level.

POSCAR file:
```
YbAsPt
1.0
4.231 0.000 0.000
-2.116 3.665 0.000
0.000 0.000 15.009
Yb As Pt
4 4 4
Direct
0.000 0.000 0.000 Yb
0.000 0.000 0.250 Yb
0.000 0.000 0.500 Yb
0.000 0.000 0.750 Yb
0.333 0.667 0.115 As
0.333 0.667 0.385 As
0.667 0.333 0.615 As
0.667 0.333 0.885 As
0.333 0.667 0.638 Pt
0.333 0.667 0.862 Pt
0.667 0.333 0.138 Pt
0.667 0.333 0.362 Pt
```

***

Below is a geometry-optimized ZrCoSi structure, with properties calculated at the r2SCAN level.

POSCAR file:
```
ZrCoSi
1.0
6.451 0.000 0.000
0.000 3.896 0.000
0.000 0.000 7.051
Zr Co Si
4 4 4
Direct
0.001 0.250 0.196 Zr
0.499 0.750 0.696 Zr
0.501 0.250 0.304 Zr
0.999 0.750 0.804 Zr
0.150 0.250 0.566 Co
0.350 0.750 0.066 Co
0.650 0.250 0.934 Co
0.850 0.750 0.434 Co
0.215 0.750 0.395 Si
0.285 0.250 0.895 Si
0.715 0.750 0.105 Si
0.785 0.250 0.605 Si
```

***

Below is a geometry-optimized NaYbO2 structure, with properties calculated at the r2SCAN level.

POSCAR file:
```
NaYbO2
1.0
1.656 0.956 5.451
-1.656 0.956 5.451
0.000 -1.913 5.451
Na Yb O
1 1 2
Direct
0.000 0.000 0.000 Na
0.500 0.500 0.500 Yb
0.237 0.237 0.237 O
0.763 0.763 0.763 O
```

***

Below is a geometry-optimized U2Al3Sn3 structure, with properties calculated at the r2SCAN level.

POSCAR file:
```
U2Al3Sn3
1.0
4.432 0.000 0.000
0.000 4.476 0.000
0.000 0.000 8.965
U Al Sn
2 3 3
Direct
0.000 0.000 0.247 U
0.000 0.000 0.753 U
0.500 0.000 0.000 Al
0.500 0.500 0.235 Al
0.500 0.500 0.765 Al
0.000 0.500 0.000 Sn
0.000 0.500 0.500 Sn
0.500 0.000 0.500 Sn
```

***

Below is a geometry-optimized V2CoS4 structure, with properties calculated at the r2SCAN level.

POSCAR file:
```
V2CoS4
1.0
6.119 -1.631 0.000
6.119 1.631 0.000
-2.605 0.000 5.195
V Co S
2 1 4
Direct
0.243 0.243 0.189 V
0.757 0.757 0.811 V
0.500 0.500 0.500 Co
0.137 0.137 0.480 S
0.392 0.392 0.052 S
0.608 0.608 0.948 S
0.863 0.863 0.520 S
```

***

Below is a geometry-optimized U4N7 structure, with properties calculated at the r2SCAN level.

POSCAR file:
```
U4N7
1.0
-5.329 5.329 5.308
5.329 -5.329 5.308
5.329 5.329 -5.308
U N
16 28
Direct
0.000 0.000 0.000 U
0.013 0.239 0.744 U
0.229 0.729 0.974 U
0.239 0.495 0.226 U
0.255 0.229 0.500 U
0.269 0.013 0.774 U
0.474 0.974 0.500 U
0.495 0.269 0.256 U
0.500 0.500 0.000 U
0.513 0.769 0.774 U
0.729 0.755 0.500 U
0.739 0.513 0.744 U
0.755 0.255 0.026 U
0.769 0.995 0.256 U
0.974 0.474 0.500 U
0.995 0.739 0.226 U
0.001 0.501 0.272 N
0.007 0.979 0.732 N
0.015 0.989 0.244 N
0.028 0.254 0.500 N
0.227 0.955 0.500 N
0.229 0.729 0.728 N
0.245 0.489 0.974 N
0.247 0.275 0.268 N
0.254 0.754 0.225 N
0.272 0.245 0.756 N
0.275 0.007 0.028 N
0.455 0.727 0.500 N
0.479 0.507 0.732 N
0.489 0.515 0.244 N
0.501 0.229 0.500 N
0.507 0.775 0.028 N
0.515 0.272 0.026 N
0.528 0.028 0.775 N
0.727 0.227 0.272 N
0.729 0.001 0.500 N
0.745 0.772 0.756 N
0.747 0.479 0.972 N
0.754 0.528 0.500 N
0.772 0.015 0.026 N
0.775 0.747 0.268 N
0.955 0.455 0.728 N
0.979 0.247 0.972 N
0.989 0.745 0.974 N
```

***

Energy relative to the elements readings, ordered: -1341.9; -825.7; -3191.4; -246.6; -928.1; -1740.0 meV per atom